(1)
Entry from Materials Project: Li2B5H5 after structural relaxation (PBE-GGA).

Values from the calculation:
Its calculated formation energy is -0.0628 eV per atom. The total energy comes out at -0.3310 Ry per atom.

```
12
Lattice="0.883 5.090 2.086 -3.466 4.172 -1.274 -4.048 1.806 4.746" Properties=species:S:1:pos:R:3 pbc="T T T"
Li -3.377 5.510 2.865
Li -3.960 1.842 4.622
B -4.238 8.598 3.134
B -5.810 8.645 3.683
B -4.704 7.314 4.089
B -4.423 8.938 4.755
B -5.721 8.001 5.218
H -3.430 4.805 4.608
H -4.542 6.144 4.199
H -4.825 4.510 3.530
H -3.561 8.870 2.184
H -2.341 5.926 1.410
```



(2)
Entry from Materials Project: Li3BH6 after structural relaxation (PBE-GGA).

Values from the calculation:
The calculation puts the polymorph energy (0 for the lowest one) at 0 meV per atom. Its calculated formation energy is -0.2040 eV per atom. The total energy comes out at -0.2479 Ry per atom.

```
20
Lattice="-1.639 -2.905 -4.514 1.304 -4.813 3.949 -4.797 -0.410 1.586" Properties=species:S:1:pos:R:3 pbc="T T T"
Li -2.647 -1.582 2.041
Li -2.626 -4.626 1.692
Li -0.291 -3.009 0.610
Li -5.209 -5.081 -0.055
Li -2.121 -2.102 -1.450
Li -3.066 -6.630 -0.589
B -2.595 -4.297 -0.549
B -1.621 -2.720 -3.810
H -1.600 -5.334 2.999
H -3.297 -3.502 -1.207
H -0.725 -0.790 0.571
H -2.250 -5.136 -1.457
H -5.562 -3.355 -1.371
H -4.291 -2.763 0.352
H -4.069 -5.124 3.281
H -4.575 -2.067 0.534
H -4.563 -7.675 0.653
H -0.981 -6.559 0.492
H 0.214 -5.040 1.240
H -3.315 -3.141 2.791
```



(3)
Entry from Materials Project: LiBH after structural relaxation (PBE-GGA).

Values from the calculation:
Its calculated formation energy is -0.2683 eV per atom. The total energy comes out at -0.3089 Ry per atom.

```
12
Lattice="-2.987 0.610 -0.460 -1.381 -5.497 1.672 -0.536 2.001 6.136" Properties=species:S:1:pos:R:3 pbc="T T T"
Li -2.737 -0.323 1.848
Li -1.518 0.346 5.154
Li -3.385 -3.231 2.195
Li -2.166 -2.562 5.501
B -2.063 -5.036 1.546
B -1.627 -1.336 3.628
B -3.276 -1.549 3.721
B -2.840 2.151 5.803
H -1.320 -0.188 3.160
H -1.775 -3.817 1.294
H -3.583 -2.697 4.189
H -3.128 0.932 6.054
```



(4)
Entry from Materials Project: Li2MgB4H34N6 after structural relaxation (PBE-GGA).

Values from the calculation:
Its calculated formation energy is -0.3947 eV per atom. The total energy comes out at -0.3345 Ry per atom.

```
188
Lattice="-4.791 7.898 -5.683 1.229 -5.792 -9.087 -12.426 -5.997 2.142" Properties=species:S:1:pos:R:3 pbc="T T T"
Li -6.984 1.665 -2.010
Li -12.032 -7.017 -10.095
Li -10.116 0.184 -1.572
Li -2.687 -2.538 -11.605
Li -5.760 4.192 -10.010
Li -7.201 -6.622 -3.139
Li -4.116 -5.114 -3.774
Li -15.057 -0.315 -8.305
Mg -8.030 -1.924 -6.464
Mg -1.745 1.031 -7.234
Mg -8.152 -10.150 -7.445
Mg -7.836 6.259 -5.182
B -4.200 -2.873 -9.550
B -11.816 -1.032 -3.072
B -7.759 -0.707 -1.381
B -2.044 -0.200 -12.312
B -3.192 -3.438 -5.495
B -12.767 -0.440 -7.137
B -6.076 -4.457 -2.322
B -16.096 -2.419 -9.240
B -8.184 -3.268 -11.214
B -13.990 -3.609 -0.347
B -10.384 -5.893 -8.578
B -5.577 2.015 -4.055
B 0.130 -1.540 -3.458
B -9.932 0.634 -10.236
B -6.622 2.604 -8.274
B -9.393 -6.509 -4.349
H -7.678 -0.888 -9.008
H -12.478 -5.015 -2.901
H -8.063 -7.447 -6.851
H -5.880 4.543 -6.129
H -2.271 0.391 -4.592
H -9.549 -2.271 -8.754
H -7.822 3.495 -5.349
H -10.211 -8.373 -6.926
H -6.739 0.002 -8.028
H -11.517 -4.988 -4.208
H -6.555 -8.005 -6.625
H -5.488 6.018 -6.682
H -3.715 0.650 -5.286
H -10.004 -3.447 -7.732
H -9.031 3.876 -4.335
H -10.902 -9.671 -7.613
H -6.215 -1.463 -8.556
H -12.187 -3.594 -3.655
H -7.080 -7.651 -8.142
H -5.109 5.593 -5.141
H -2.959 -0.795 -5.482
H -10.614 -1.931 -7.562
H -9.263 3.970 -5.958
H -10.523 -9.694 -6.014
H -5.452 -1.815 -5.386
H -12.876 -3.205 -6.838
H -11.755 3.119 -5.386
H -0.359 -5.141 -7.909
H -3.793 -0.284 -8.613
H -9.855 -2.479 -4.418
H -4.546 -6.825 -8.542
H -15.315 1.064 -3.417
H -6.481 -1.488 -4.163
H -13.560 -4.360 -7.765
H -12.037 1.776 -4.505
H -1.791 -4.625 -8.495
H -3.523 1.116 -9.406
H -8.411 -3.051 -3.921
H -3.815 -5.747 -7.560
H -14.332 0.814 -4.695
H -6.100 -0.317 -5.213
H -12.156 -4.669 -7.024
H -11.416 3.082 -3.780
H -0.628 -5.070 -9.527
H -4.425 1.128 -8.062
H -9.295 -3.925 -4.957
H -4.129 -7.235 -7.009
H -15.804 1.440 -4.939
H -6.706 -4.459 -6.252
H -15.393 -2.381 -5.323
H -9.627 -4.726 -1.193
H -6.259 0.884 -11.452
H -0.922 -1.317 -8.661
H -8.955 0.375 -5.020
H -4.069 -0.520 -1.933
H -12.021 -3.421 -10.676
H -7.523 -4.462 -7.663
H -3.061 3.179 -5.896
H -10.689 -3.565 -0.765
H -6.108 -0.717 -11.723
H -12.535 -7.302 -5.105
H -8.857 0.802 -6.590
H -3.005 -1.683 -2.350
H -12.174 -1.818 -10.417
H -6.099 -3.680 -7.549
H -14.089 -2.238 -4.354
H -9.110 -3.203 -0.924
H -4.866 0.283 -12.050
H -1.661 -1.794 -7.288
H -10.126 -0.070 -6.064
H -4.508 -2.089 -1.876
H -13.492 -2.773 -10.405
H -2.978 -2.979 -9.650
H -11.157 -0.018 -3.297
H -6.878 -0.352 -2.162
H -13.470 -5.644 -9.713
H -3.946 -4.396 -5.660
H -13.895 -0.389 -6.648
H -7.235 -4.648 -2.689
H -4.393 2.861 -10.690
H -4.685 -3.994 -9.389
H -13.001 -0.717 -2.946
H -8.697 -1.179 -2.027
H -2.776 -0.534 -11.379
H -2.099 -3.700 -6.000
H -12.191 0.628 -6.920
H -5.498 -3.772 -3.168
H -15.005 -2.298 -8.681
H -4.671 -2.335 -10.554
H -11.406 -1.599 -2.058
H -6.909 -5.548 -9.782
H -2.955 4.613 -3.901
H -3.068 -3.187 -4.295
H -12.830 -0.661 -8.348
H -10.283 2.369 -7.840
H -11.829 -9.216 -3.732
H -4.448 -2.188 -8.565
H -11.706 -1.784 -4.034
H -7.300 -1.579 -0.653
H -2.641 0.606 -13.017
H -3.673 -2.468 -6.069
H -12.149 -1.344 -6.587
H -6.105 -3.839 -1.264
H -15.930 -2.970 -10.321
H -9.073 -3.681 -10.473
H -2.602 1.872 -2.898
H -11.093 -6.881 -8.398
H -6.795 2.073 -3.902
H -11.520 -6.866 -1.993
H -8.781 0.893 -9.891
H -5.847 3.553 -8.175
H -8.241 -6.527 -4.779
H -9.069 1.650 -2.924
H -13.012 -8.481 -8.653
H -10.814 -5.215 -9.512
H -5.054 1.382 -3.136
H -4.147 5.282 -8.829
H -5.748 -6.233 -4.848
H -6.700 2.226 -9.444
H -9.408 -6.175 -3.163
H -7.233 -2.900 -10.527
H -13.341 -3.205 -1.310
H -9.233 -6.265 -8.796
H -5.129 3.158 -4.112
H -0.905 -1.715 -4.097
H -10.496 0.038 -9.321
H -7.723 2.946 -7.847
H -9.891 -7.622 -4.500
H -8.627 -2.298 -11.818
H -13.343 -4.480 0.222
H -10.393 -5.239 -7.542
H -5.365 1.459 -5.125
H -0.137 -0.893 -2.452
H -9.868 -0.111 -11.207
H -6.193 1.701 -7.566
H -10.025 -5.703 -5.022
N -7.043 -0.962 -8.210
N -12.381 -4.588 -3.825
N -7.365 -8.079 -7.252
N -5.846 5.527 -5.854
N -2.798 0.219 -5.451
N -9.753 -2.452 -7.768
N -8.584 4.164 -5.213
N -10.181 -9.396 -6.936
N -6.323 -1.319 -5.158
N -13.067 -4.214 -6.883
N -12.113 2.794 -4.479
N -1.064 -5.329 -8.634
N -3.578 0.712 -8.469
N -9.008 -2.961 -4.745
N -3.801 -6.729 -7.841
N -14.998 1.481 -4.302
N -6.970 -3.864 -7.041
N -14.877 -2.855 -4.577
N -9.749 -3.923 -0.571
N -5.885 0.202 -12.117
N -1.018 -1.091 -7.668
N -9.110 0.027 -5.970
N -3.734 -1.450 -1.669
N -12.608 -2.612 -10.897
```